[1]
Density functional theory data (PBE) for a geometry-optimized Mg16Al12Cr structure. Values from VASP.

Calculated values
**V**: 19.84 A^3/atom
**Symmetry**: No. 160
**Mass density**: 2.21 g/cm³
**Energy above the lowest structure with this stoichiometry**: 0.000 eV per atom
**Crystal system**: trigonal

Geometry as Quantum ESPRESSO input:
```
&SYSTEM
  ibrav = 0, nat = 29, ntyp = 3
/
ATOMIC_SPECIES
Mg 24.30 Mg.upf
Al 26.98 Al.upf
Cr 52.00 Cr.upf
ATOMIC_POSITIONS crystal
Mg 0.000 0.000 0.000
Mg 0.010 0.409 0.691
Mg 0.010 0.691 0.409
Mg 0.011 0.011 0.661
Mg 0.011 0.661 0.011
Mg 0.300 0.598 0.598
Mg 0.326 0.326 0.724
Mg 0.326 0.724 0.326
Mg 0.409 0.010 0.691
Mg 0.409 0.691 0.010
Mg 0.598 0.300 0.598
Mg 0.598 0.598 0.300
Mg 0.661 0.011 0.011
Mg 0.691 0.010 0.409
Mg 0.691 0.409 0.010
Mg 0.724 0.326 0.326
Al 0.011 0.194 0.375
Al 0.011 0.375 0.194
Al 0.194 0.011 0.375
Al 0.194 0.375 0.011
Al 0.196 0.821 0.821
Al 0.375 0.011 0.194
Al 0.375 0.194 0.011
Al 0.648 0.648 0.835
Al 0.648 0.835 0.648
Al 0.821 0.196 0.821
Al 0.821 0.821 0.196
Al 0.835 0.648 0.648
Cr 0.307 0.307 0.307
CELL_PARAMETERS angstrom
7.367 4.253 3.060
-7.367 4.253 3.060
0.000 -8.506 3.060
```

=====

[2]
Density functional theory data (PBE) for a geometry-optimized SmPd3 structure. Values from VASP.

Calculated values
**V**: 18.24 A^3/atom
**E**: -23.6 eV/cell
**Symmetry**: No. 221
**Mass density**: 10.69 g/cm³
**Crystal system**: cubic

Geometry as Quantum ESPRESSO input:
```
&SYSTEM
  ibrav = 0, nat = 4, ntyp = 2
/
ATOMIC_SPECIES
Sm 150.36 Sm.upf
Pd 106.42 Pd.upf
ATOMIC_POSITIONS crystal
Sm 0.000 0.000 0.000
Pd 0.000 0.500 0.500
Pd 0.500 0.000 0.500
Pd 0.500 0.500 0.000
CELL_PARAMETERS angstrom
4.179 0.000 0.000
0.000 4.179 0.000
0.000 0.000 4.179
```

=====

Question: Which value of V does entry 2 give?
Answer: 18.24 A^3/atom